1.
VASP calculation (PBE) on a geometry-optimized Ta2Bi4O11 structure.

Lattice parameters (Å, degrees): 6.6587 7.7319 10.0537 78.97 89.62 89.95
Last column: nearest neighbours and their distance in Å.
Element x y z (fractional)
Ta  0.0853  0.2964  0.3137  6 O 1.93-2.11
Ta  0.0891  0.7973  0.3099  6 O 1.94-2.11
Ta  0.9109  0.2027  0.6901  6 O 1.94-2.11
Ta  0.9147  0.7036  0.6863  6 O 1.93-2.11
Bi  0.2388  0.6275  0.9788  6 O 2.35-2.59
Bi  0.2474  0.1283  0.9784  7 O 2.33-2.58
Bi  0.3869  0.4547  0.6706  3 O 2.13-2.27
Bi  0.4381  0.9524  0.6843  3 O 2.11-2.26
Bi  0.5619  0.0476  0.3157  3 O 2.11-2.26
Bi  0.6131  0.5453  0.3294  3 O 2.13-2.27
Bi  0.7526  0.8717  0.0216  7 O 2.33-2.58
Bi  0.7612  0.3725  0.0212  6 O 2.35-2.59
O  0.0036  0.2192  0.5004  2 Ta 1.93-1.98
O  0.0205  0.5468  0.3137  2 Ta 1.98
O  0.0925  0.3625  0.1001  1 Ta 2.11, 1 Bi 2.35
O  0.1102  0.8311  0.1043  1 Ta 2.04
O  0.1596  0.0531  0.2895  2 Ta 2.00
O  0.2153  0.1490  0.7371  1 Ta 2.11, 1 Bi 2.26
O  0.2179  0.7284  0.7366  1 Ta 2.10, 1 Bi 2.25
O  0.3687  0.3400  0.3339  1 Ta 1.94
O  0.3694  0.7440  0.3478  1 Ta 1.94
O  0.4112  0.3924  0.8860  2 Bi 2.13-2.34
O  0.4563  0.9065  0.8979  2 Bi 2.11-2.33
O  0.5437  0.0935  0.1021  2 Bi 2.11-2.33
O  0.5888  0.6076  0.1140  2 Bi 2.13-2.34
O  0.6306  0.2560  0.6522  1 Ta 1.94
O  0.6313  0.6600  0.6661  1 Ta 1.94
O  0.7821  0.2716  0.2634  1 Ta 2.10, 1 Bi 2.25
O  0.7847  0.8510  0.2629  1 Ta 2.11, 1 Bi 2.26
O  0.8404  0.9469  0.7105  2 Ta 2.00
O  0.8898  0.1689  0.8957  1 Ta 2.04
O  0.9075  0.6375  0.8999  1 Ta 2.11, 1 Bi 2.35
O  0.9795  0.4532  0.6863  2 Ta 1.98
O  0.9964  0.7808  0.4996  2 Ta 1.93-1.98

ΔH_f (0 K): -2.408 eV/atom



2.
VASP calculation (PBE) on a geometry-optimized TaBiO4 structure.

Lattice parameters (Å, degrees): 5.7373 11.8886 5.0503 90.00 90.00 90.00
Last column: nearest neighbours and their distance in Å.
Element x y z (fractional)
Ta  0.1360  0.2500  0.2500  6 O 1.91-2.13
Ta  0.3640  0.7500  0.2500  6 O 1.91-2.13
Ta  0.6360  0.2500  0.7500  6 O 1.91-2.13
Ta  0.8640  0.7500  0.7500  6 O 1.91-2.13
Bi  0.2500  0.0000  0.7195  4 O 2.17-2.33
Bi  0.2500  0.5000  0.7805  4 O 2.17-2.33
Bi  0.7500  0.0000  0.2805  4 O 2.17-2.33
Bi  0.7500  0.5000  0.2195  4 O 2.17-2.33
O  0.0834  0.0977  0.4090  1 Ta 2.00, 1 Bi 2.17
O  0.0834  0.4023  0.0910  1 Ta 2.00, 1 Bi 2.17
O  0.1455  0.6962  0.5058  2 Ta 1.91-2.13
O  0.1455  0.8038  0.9942  2 Ta 1.91-2.13
O  0.3545  0.1962  0.9942  2 Ta 1.91-2.13
O  0.3545  0.3038  0.5058  2 Ta 1.91-2.13
O  0.4166  0.5977  0.0910  1 Ta 2.00, 1 Bi 2.17
O  0.4166  0.9023  0.4090  1 Ta 2.00, 1 Bi 2.17
O  0.5834  0.0977  0.5910  1 Ta 2.00, 1 Bi 2.17
O  0.5834  0.4023  0.9090  1 Ta 2.00, 1 Bi 2.17
O  0.6455  0.6962  0.4942  2 Ta 1.91-2.13
O  0.6455  0.8038  0.0058  2 Ta 1.91-2.13
O  0.8545  0.1962  0.0058  2 Ta 1.91-2.13
O  0.8545  0.3038  0.4942  2 Ta 1.91-2.13
O  0.9166  0.5977  0.9090  1 Ta 2.00, 1 Bi 2.17
O  0.9166  0.9023  0.5910  1 Ta 2.00, 1 Bi 2.17

ΔH_f (0 K): -2.698 eV/atom



3.
VASP calculation (PBE) on a geometry-optimized Ta2Bi2O9 structure.

Lattice parameters (Å, degrees): 3.7626 3.7626 14.9908 96.80 96.80 89.95
Last column: nearest neighbours and their distance in Å.
Element x y z (fractional)
Ta  0.0635  0.0635  0.1287  5 O 1.90-1.95
Ta  0.9365  0.9365  0.8713  5 O 1.90-1.95
Bi  0.2130  0.2130  0.4085  4 O 2.30-2.34
Bi  0.7870  0.7870  0.5915  4 O 2.30-2.34
O  0.0000  0.0000  0.0000  2 Ta 1.90
O  0.0793  0.5803  0.1610  2 Ta 1.94-1.95
O  0.2504  0.7496  0.5000  4 Bi 2.30-2.34
O  0.3302  0.3302  0.6402  4 Bi 2.65-2.86, 4 O 2.76-2.84
O  0.4197  0.9207  0.8390  2 Ta 1.94-1.95
O  0.5803  0.0793  0.1610  2 Ta 1.94-1.95
O  0.6698  0.6698  0.3598  4 Bi 2.65-2.86, 4 O 2.76-2.84
O  0.7496  0.2504  0.5000  4 Bi 2.30-2.34
O  0.9207  0.4197  0.8390  2 Ta 1.94-1.95

ΔH_f (0 K): -2.190 eV/atom
Distance to the lowest polymorph of the same formula: 20.7 kJ per mole of atoms
Total moment: 0.15 μB/atom



4.
VASP calculation (PBE) on a geometry-optimized Ta6Bi2O19 structure.

Lattice parameters (Å, degrees): 6.3405 6.3405 20.5879 90.00 90.00 120.00
Last column: nearest neighbours and their distance in Å.
Element x y z (fractional)
Ta  0.0000  0.3543  0.1572  6 O 1.93-2.06
Ta  0.0000  0.3543  0.3428  6 O 1.93-2.06
Ta  0.0000  0.6457  0.6572  6 O 1.93-2.06
Ta  0.0000  0.6457  0.8428  6 O 1.93-2.06
Ta  0.3543  0.0000  0.1572  6 O 1.93-2.06
Ta  0.3543  0.0000  0.3428  6 O 1.93-2.06
Ta  0.3543  0.3543  0.6572  6 O 1.93-2.06
Ta  0.3543  0.3543  0.8428  6 O 1.93-2.06
Ta  0.6457  0.0000  0.6572  6 O 1.93-2.06
Ta  0.6457  0.0000  0.8428  6 O 1.93-2.06
Ta  0.6457  0.6457  0.1572  6 O 1.93-2.06
Ta  0.6457  0.6457  0.3428  6 O 1.93-2.06
Bi  0.3333  0.6667  0.0000  6 O 2.28
Bi  0.3333  0.6667  0.5000  6 O 2.28
Bi  0.6667  0.3333  0.0000  6 O 2.28
Bi  0.6667  0.3333  0.5000  6 O 2.28
O  0.0000  0.2408  0.6548  2 Ta 1.99
O  0.0000  0.2408  0.8452  2 Ta 1.99
O  0.0000  0.3954  0.2500  2 Ta 1.93
O  0.0000  0.4001  0.0584  1 Ta 2.05, 2 Bi 2.28
O  0.0000  0.4001  0.4416  1 Ta 2.05, 2 Bi 2.28
O  0.0000  0.5999  0.5584  1 Ta 2.05, 2 Bi 2.28
O  0.0000  0.5999  0.9416  1 Ta 2.05, 2 Bi 2.28
O  0.0000  0.6046  0.7500  2 Ta 1.93
O  0.0000  0.7592  0.1548  2 Ta 1.99
O  0.0000  0.7592  0.3452  2 Ta 1.99
O  0.2408  0.0000  0.6548  2 Ta 1.99
O  0.2408  0.0000  0.8452  2 Ta 1.99
O  0.2408  0.2408  0.1548  2 Ta 1.99
O  0.2408  0.2408  0.3452  2 Ta 1.99
O  0.3333  0.6667  0.1500  3 Ta 2.06
O  0.3333  0.6667  0.3500  3 Ta 2.06
O  0.3333  0.6667  0.6500  3 Ta 2.06
O  0.3333  0.6667  0.8500  3 Ta 2.06
O  0.3954  0.0000  0.2500  2 Ta 1.93
O  0.3954  0.3954  0.7500  2 Ta 1.93
O  0.4001  0.0000  0.0584  1 Ta 2.05, 2 Bi 2.28
O  0.4001  0.0000  0.4416  1 Ta 2.05, 2 Bi 2.28
O  0.4001  0.4001  0.5584  1 Ta 2.05, 2 Bi 2.28
O  0.4001  0.4001  0.9416  1 Ta 2.05, 2 Bi 2.28
O  0.5999  0.0000  0.5584  1 Ta 2.05, 2 Bi 2.28
O  0.5999  0.0000  0.9416  1 Ta 2.05, 2 Bi 2.28
O  0.5999  0.5999  0.0584  1 Ta 2.05, 2 Bi 2.28
O  0.5999  0.5999  0.4416  1 Ta 2.05, 2 Bi 2.28
O  0.6046  0.0000  0.7500  2 Ta 1.93
O  0.6046  0.6046  0.2500  2 Ta 1.93
O  0.6667  0.3333  0.1500  3 Ta 2.06
O  0.6667  0.3333  0.3500  3 Ta 2.06
O  0.6667  0.3333  0.6500  3 Ta 2.06
O  0.6667  0.3333  0.8500  3 Ta 2.06
O  0.7592  0.0000  0.1548  2 Ta 1.99
O  0.7592  0.0000  0.3452  2 Ta 1.99
O  0.7592  0.7592  0.6548  2 Ta 1.99
O  0.7592  0.7592  0.8452  2 Ta 1.99

ΔH_f (0 K): -2.930 eV/atom
Total moment: 0.00 μB/atom



5.
VASP calculation (PBE) on a geometry-optimized TaZnBiO5 structure.

Lattice parameters (Å, degrees): 5.4108 12.1285 8.3583 90.00 112.10 90.00
Last column: nearest neighbours and their distance in Å.
Element x y z (fractional)
Ta  0.1791  0.1448  0.4660  4 O 1.84-1.89
Ta  0.1791  0.3552  0.9660  4 O 1.84-1.89
Ta  0.8209  0.6448  0.0340  4 O 1.84-1.89
Ta  0.8209  0.8552  0.5340  4 O 1.84-1.89
Zn  0.4543  0.5811  0.3335  5 O 2.03-2.19
Zn  0.4543  0.9189  0.8335  5 O 2.03-2.19
Zn  0.5457  0.0811  0.1665  5 O 2.03-2.19
Zn  0.5457  0.4189  0.6665  5 O 2.03-2.19
Bi  0.0532  0.5925  0.6676  4 O 2.16-2.36
Bi  0.0532  0.9075  0.1676  4 O 2.16-2.36
Bi  0.9468  0.0925  0.8324  4 O 2.16-2.36
Bi  0.9468  0.4075  0.3324  4 O 2.16-2.36
O  0.1760  0.6745  0.1523  1 Ta 1.84, 1 Zn 2.03
O  0.1760  0.8255  0.6523  1 Ta 1.84, 1 Zn 2.03
O  0.2195  0.0696  0.6710  1 Ta 1.88
O  0.2195  0.4304  0.1710  1 Ta 1.88
O  0.2424  0.5250  0.4849  2 Zn 2.11-2.19, 2 Bi 2.16-2.29
O  0.2424  0.9750  0.9849  2 Zn 2.11-2.19, 2 Bi 2.16-2.29
O  0.2987  0.0599  0.3189  1 Ta 1.89
O  0.2987  0.4401  0.8189  1 Ta 1.89
O  0.3160  0.2113  0.0132  1 Ta 1.88
O  0.3160  0.2887  0.5132  1 Ta 1.88
O  0.6840  0.7113  0.4868  1 Ta 1.88
O  0.6840  0.7887  0.9868  1 Ta 1.88
O  0.7013  0.5599  0.1811  1 Ta 1.89
O  0.7013  0.9401  0.6811  1 Ta 1.89
O  0.7576  0.0250  0.0151  2 Zn 2.11-2.19, 2 Bi 2.16-2.29
O  0.7576  0.4750  0.5151  2 Zn 2.11-2.19, 2 Bi 2.16-2.29
O  0.7805  0.5696  0.8290  1 Ta 1.88
O  0.7805  0.9304  0.3290  1 Ta 1.88
O  0.8240  0.1745  0.3477  1 Ta 1.84, 1 Zn 2.03
O  0.8240  0.3255  0.8477  1 Ta 1.84, 1 Zn 2.03

ΔH_f (0 K): -2.369 eV/atom
Distance to the lowest polymorph of the same formula: 0.0 kJ per mole of atoms
Total moment: 0.00 μB/atom



6.
VASP calculation (PBE) on a geometry-optimized TaZn2BiO6 structure.

Lattice parameters (Å, degrees): 5.5320 8.0911 5.6149 90.00 92.77 90.00
Last column: nearest neighbours and their distance in Å.
Element x y z (fractional)
Ta  0.0000  0.0000  0.0000  6 O 1.96-2.19
Ta  0.0000  0.5000  0.0000  6 O 1.96-2.19
Zn  0.0197  0.2500  0.5169  4 O 2.02-2.14
Zn  0.4827  0.7500  0.0243  4 O 2.02-2.25
Zn  0.5173  0.2500  0.9757  4 O 2.02-2.25
Zn  0.9803  0.7500  0.4831  4 O 2.02-2.14
Bi  0.5000  0.0000  0.5000  6 O 2.29-2.42
Bi  0.5000  0.5000  0.5000  6 O 2.29-2.42
O  0.0940  0.7500  0.1243  2 Zn 2.14-2.25, 2 Ta 2.19
O  0.1339  0.5724  0.6933  1 Ta 2.00, 1 Zn 2.02
O  0.1339  0.9276  0.6933  1 Ta 2.00, 1 Zn 2.02
O  0.3198  0.0718  0.1250  1 Ta 1.96, 1 Zn 2.02
O  0.3198  0.4282  0.1250  1 Ta 1.96, 1 Zn 2.02
O  0.3704  0.2500  0.6381  2 Zn 2.02-2.03
O  0.6296  0.7500  0.3619  2 Zn 2.02-2.03
O  0.6802  0.5718  0.8750  1 Ta 1.96, 1 Zn 2.02
O  0.6802  0.9282  0.8750  1 Ta 1.96, 1 Zn 2.02
O  0.8661  0.0724  0.3067  1 Ta 2.00, 1 Zn 2.02
O  0.8661  0.4276  0.3067  1 Ta 2.00, 1 Zn 2.02
O  0.9060  0.2500  0.8757  2 Zn 2.14-2.25, 2 Ta 2.19

ΔH_f (0 K): -2.161 eV/atom
Total moment: 0.00 μB/atom



7.
VASP calculation (PBE) on a geometry-optimized TaZnBiO5 structure.

Lattice parameters (Å, degrees): 5.3450 16.1297 10.7051 90.00 90.00 90.00
Last column: nearest neighbours and their distance in Å.
Element x y z (fractional)
Ta  0.0249  0.0879  0.1267  4 O 1.88-1.93
Ta  0.0249  0.4121  0.6267  4 O 1.88-1.93
Ta  0.4751  0.5879  0.1267  4 O 1.88-1.93
Ta  0.4751  0.9121  0.6267  4 O 1.88-1.93
Ta  0.5249  0.0879  0.3733  4 O 1.88-1.93
Ta  0.5249  0.4121  0.8733  4 O 1.88-1.93
Ta  0.9751  0.5879  0.3733  4 O 1.88-1.93
Ta  0.9751  0.9121  0.8733  4 O 1.88-1.93
Zn  0.0031  0.5472  0.8707  4 O 2.01-2.16
Zn  0.0031  0.9528  0.3707  4 O 2.01-2.16
Zn  0.4969  0.0472  0.8707  4 O 2.01-2.16
Zn  0.4969  0.4528  0.3707  4 O 2.01-2.16
Zn  0.5031  0.5472  0.6293  4 O 2.01-2.16
Zn  0.5031  0.9528  0.1293  4 O 2.01-2.16
Zn  0.9969  0.0472  0.6293  4 O 2.01-2.16
Zn  0.9969  0.4528  0.1293  4 O 2.01-2.16
Bi  0.0159  0.2211  0.8562  3 O 2.15-2.32
Bi  0.0159  0.2789  0.3562  3 O 2.15-2.32
Bi  0.4841  0.7211  0.8562  3 O 2.15-2.32
Bi  0.4841  0.7789  0.3562  3 O 2.15-2.32
Bi  0.5159  0.2211  0.6438  3 O 2.15-2.32
Bi  0.5159  0.2789  0.1438  3 O 2.15-2.32
Bi  0.9841  0.7211  0.6438  3 O 2.15-2.32
Bi  0.9841  0.7789  0.1438  3 O 2.15-2.32
O  0.1438  0.6518  0.7956  1 Zn 2.01, 2 Bi 2.15-2.23
O  0.1438  0.8482  0.2956  1 Zn 2.01, 2 Bi 2.15-2.23
O  0.1514  0.1893  0.1892  1 Ta 1.89
O  0.1514  0.3107  0.6892  1 Ta 1.89
O  0.1748  0.6320  0.5033  1 Ta 1.89
O  0.1748  0.8680  0.0033  1 Ta 1.89
O  0.2181  0.5267  0.2763  1 Ta 1.93, 1 Zn 2.16
O  0.2181  0.9733  0.7763  1 Ta 1.93, 1 Zn 2.16
O  0.2227  0.5380  0.0298  1 Ta 1.88, 1 Zn 2.07
O  0.2227  0.9620  0.5298  1 Ta 1.88, 1 Zn 2.07
O  0.2773  0.0380  0.0298  1 Ta 1.88, 1 Zn 2.07
O  0.2773  0.4620  0.5298  1 Ta 1.88, 1 Zn 2.07
O  0.2819  0.0267  0.2763  1 Ta 1.93, 1 Zn 2.16
O  0.2819  0.4733  0.7763  1 Ta 1.93, 1 Zn 2.16
O  0.3252  0.1320  0.5033  1 Ta 1.89
O  0.3252  0.3680  0.0033  1 Ta 1.89
O  0.3486  0.6893  0.1892  1 Ta 1.89
O  0.3486  0.8107  0.6892  1 Ta 1.89
O  0.3562  0.1518  0.7956  1 Zn 2.01, 2 Bi 2.15-2.23
O  0.3562  0.3482  0.2956  1 Zn 2.01, 2 Bi 2.15-2.23
O  0.6438  0.6518  0.7044  1 Zn 2.01, 2 Bi 2.15-2.23
O  0.6438  0.8482  0.2044  1 Zn 2.01, 2 Bi 2.15-2.23
O  0.6514  0.1893  0.3108  1 Ta 1.89
O  0.6514  0.3107  0.8108  1 Ta 1.89
O  0.6748  0.6320  0.9967  1 Ta 1.89
O  0.6748  0.8680  0.4967  1 Ta 1.89
O  0.7181  0.5267  0.2237  1 Ta 1.93, 1 Zn 2.16
O  0.7181  0.9733  0.7237  1 Ta 1.93, 1 Zn 2.16
O  0.7227  0.5380  0.4702  1 Ta 1.88, 1 Zn 2.07
O  0.7227  0.9620  0.9702  1 Ta 1.88, 1 Zn 2.07
O  0.7773  0.0380  0.4702  1 Ta 1.88, 1 Zn 2.07
O  0.7773  0.4620  0.9702  1 Ta 1.88, 1 Zn 2.07
O  0.7819  0.0267  0.2237  1 Ta 1.93, 1 Zn 2.16
O  0.7819  0.4733  0.7237  1 Ta 1.93, 1 Zn 2.16
O  0.8252  0.1320  0.9967  1 Ta 1.89
O  0.8252  0.3680  0.4967  1 Ta 1.89
O  0.8486  0.6893  0.3108  1 Ta 1.89
O  0.8486  0.8107  0.8108  1 Ta 1.89
O  0.8562  0.1518  0.7044  1 Zn 2.01, 2 Bi 2.15-2.23
O  0.8562  0.3482  0.2044  1 Zn 2.01, 2 Bi 2.15-2.23

ΔH_f (0 K): -2.358 eV/atom
Distance to the lowest polymorph of the same formula: 1.1 kJ per mole of atoms
Total moment: 0.00 μB/atom



8.
VASP calculation (PBE) on a geometry-optimized Tb2Bi2O7 structure.

Lattice parameters (Å, degrees): 7.7388 7.7388 7.7388 60.00 60.00 60.00
Last column: nearest neighbours and their distance in Å.
Element x y z (fractional)
Tb  0.0000  0.0000  0.0000  8 O 2.37-2.52
Tb  0.0000  0.0000  0.5000  8 O 2.37-2.52
Tb  0.0000  0.5000  0.0000  8 O 2.37-2.52
Tb  0.5000  0.0000  0.0000  8 O 2.37-2.52
Bi  0.0000  0.5000  0.5000  6 O 2.24
Bi  0.5000  0.0000  0.5000  6 O 2.24
Bi  0.5000  0.5000  0.0000  6 O 2.24
Bi  0.5000  0.5000  0.5000  6 O 2.24
O  0.1250  0.1250  0.1250  4 Tb 2.37
O  0.1476  0.1476  0.6024  2 Bi 2.24
O  0.1476  0.6024  0.1476  2 Bi 2.24
O  0.1476  0.6024  0.6024  2 Bi 2.24
O  0.3976  0.3976  0.8524  2 Bi 2.24
O  0.3976  0.8524  0.3976  2 Bi 2.24
O  0.3976  0.8524  0.8524  2 Bi 2.24
O  0.6024  0.1476  0.1476  2 Bi 2.24
O  0.6024  0.1476  0.6024  2 Bi 2.24
O  0.6024  0.6024  0.1476  2 Bi 2.24
O  0.8524  0.3976  0.3976  2 Bi 2.24
O  0.8524  0.3976  0.8524  2 Bi 2.24
O  0.8524  0.8524  0.3976  2 Bi 2.24
O  0.8750  0.8750  0.8750  4 Tb 2.37

ΔH_f (0 K): -2.542 eV/atom
Total moment: 0.04 μB/atom